Entry 1:
Crystalline Nb2O5 at its relaxed geometry. Source: Materials Project, functional PBE.

a b c (Å): 3.8619 14.7147 15.4364
angles (deg): 73.15 82.81 82.47
Element x y z (fractional)
Nb 0.3062 0.4883 0.0982
Nb 0.0389 0.0230 0.1012
Nb 0.5346 0.5922 0.6319
Nb 0.8304 0.2471 0.9036
Nb 0.6709 0.3290 0.6289
Nb 0.6942 0.5119 0.9024
Nb 0.7806 0.0610 0.6290
Nb 0.1719 0.7535 0.0969
Nb 0.4677 0.4090 0.3681
Nb 0.5593 0.7836 0.9004
Nb 0.2172 0.9399 0.3714
Nb 0.3846 0.8621 0.6344
Nb 0.9615 0.9780 0.8991
Nb 0.4422 0.2166 0.1004
Nb 0.3637 0.6721 0.3711
Nb 0.6126 0.1386 0.3661
O 0.5465 0.2653 0.3546
O 0.8347 0.6858 0.3513
O 0.2275 0.6264 0.0820
O 0.9444 0.1862 0.0742
O 0.7020 0.0921 0.4986
O 0.8712 0.8974 0.6420
O 0.3719 0.3441 0.0899
O 0.9848 0.3957 0.3585
O 0.5281 0.1652 0.2232
O 0.0568 0.8144 0.9263
O 0.1273 0.1031 0.3591
O 0.7211 0.1832 0.6367
O 0.3578 0.2325 0.9449
O 0.1194 0.9842 0.2239
O 0.4302 0.6429 0.5003
O 0.6439 0.7684 0.0556
O 0.5864 0.4596 0.6373
O 0.4729 0.8343 0.7777
O 0.7583 0.2718 0.7828
O 0.6915 0.9792 0.3611
O 0.4130 0.5415 0.3627
O 0.8796 0.0180 0.7765
O 0.5756 0.3585 0.4998
O 0.2969 0.9081 0.5020
O 0.6123 0.5489 0.7796
O 0.7888 0.4860 0.0631
O 0.0758 0.9103 0.0616
O 0.2753 0.8181 0.3629
O 0.2120 0.5139 0.9380
O 0.7735 0.3740 0.9189
O 0.0169 0.6049 0.6425
O 0.5134 0.0605 0.0872
O 0.2450 0.7294 0.2174
O 0.3887 0.4513 0.2210
O 0.9254 0.0907 0.9387
O 0.6287 0.6560 0.9117
O 0.3072 0.0214 0.6398
O 0.1682 0.3144 0.6489
O 0.4524 0.7354 0.6456
O 0.4870 0.9405 0.9128

Computed properties:
The volume comes out at 14.80 A^3/atom. Its space-group type is P1. The value obtained for the excess energy over the best structure of this formula in the dataset is 182 meV/atom. The calculation puts the formation energy at -2.853 eV/atom. The density comes out at 4.26 g/cm3.

***

Entry 2:
Crystalline Nb4O5 at its relaxed geometry. Source: Materials Project, functional PBE.

a b c (Å): 6.7456 6.7456 4.8556
angles (deg): 90.00 90.00 90.00
Element x y z (fractional)
Nb 0.0000 0.2961 0.7039
Nb 0.7039 0.0000 0.2961
Nb 0.0000 0.7039 0.7039
Nb 0.7961 0.5000 0.2039
Nb 0.5000 0.2039 0.7961
Nb 0.2039 0.5000 0.2039
Nb 0.5000 0.7961 0.7961
Nb 0.2961 0.0000 0.2961
O 0.2862 0.2862 0.5000
O 0.7138 0.2862 0.5000
O 0.5000 0.5000 0.0000
O 0.2862 0.7138 0.5000
O 0.2138 0.2138 0.0000
O 0.0000 0.0000 0.5000
O 0.7862 0.2138 0.0000
O 0.7862 0.7862 0.0000
O 0.7138 0.7138 0.5000
O 0.2138 0.7862 0.0000

Computed properties:
The volume comes out at 12.27 A^3/atom. Its space-group type is P4_2/nmc. The calculation puts the formation energy at -2.467 eV/atom. The density comes out at 6.79 g/cm3.

***

Entry 3:
Crystalline Nb12O29 at its relaxed geometry. Source: Materials Project, functional PBE.

a b c (Å): 10.7409 10.7409 16.0129
angles (deg): 67.31 67.31 20.76
Element x y z (fractional)
O 0.0550 0.0550 0.1347
O 0.0000 0.0000 0.0000
O 0.9450 0.9450 0.8653
O 0.1876 0.1876 0.9988
O 0.8344 0.8344 0.5716
O 0.8998 0.8998 0.7236
O 0.7518 0.7518 0.8590
O 0.0784 0.0784 0.7176
O 0.9216 0.9216 0.2824
O 0.0305 0.0305 0.5634
O 0.8615 0.8615 0.1389
O 0.8124 0.8124 0.0012
O 0.4537 0.4537 0.1488
O 0.1385 0.1385 0.8611
O 0.7814 0.7814 0.4161
O 0.1002 0.1002 0.2764
O 0.2482 0.2482 0.1410
O 0.4134 0.4134 0.5858
O 0.6330 0.6330 0.5577
O 0.2186 0.2186 0.5839
O 0.3343 0.3343 0.8610
O 0.5866 0.5866 0.4142
O 0.6657 0.6657 0.1390
O 0.9695 0.9695 0.4366
O 0.1656 0.1656 0.4284
O 0.5463 0.5463 0.8512
O 0.7294 0.7294 0.2777
O 0.3670 0.3670 0.4423
O 0.2706 0.2706 0.7223
Nb 0.1438 0.1438 0.1292
Nb 0.7760 0.7760 0.1327
Nb 0.0400 0.0400 0.8685
Nb 0.0670 0.0670 0.3987
Nb 0.9600 0.9600 0.1315
Nb 0.6982 0.6982 0.4007
Nb 0.2240 0.2240 0.8673
Nb 0.3018 0.3018 0.5993
Nb 0.8562 0.8562 0.8708
Nb 0.8804 0.8804 0.4031
Nb 0.9330 0.9330 0.6013
Nb 0.1196 0.1196 0.5969

Computed properties:
The volume comes out at 14.69 A^3/atom. Its space-group type is C2/m. The calculation puts the formation energy at -3.039 eV/atom. The density comes out at 4.35 g/cm3.